1.
V6SiSn (PBE, relaxed); symmetry = Pm-3; ΔH_f (0 K) = -0.240 eV per atom; E_tot = -65.857 eV/cell
1.0
4.8427 0.0000 0.0000
0.0000 4.8427 0.0000
0.0000 0.0000 4.8427
V Si Sn
6 1 1
Direct
0.0000 0.2346 0.5000
0.0000 0.7654 0.5000
0.2346 0.5000 0.0000
0.5000 0.0000 0.2346
0.5000 0.0000 0.7654
0.7654 0.5000 0.0000
0.0000 0.0000 0.0000
0.5000 0.5000 0.5000


2.
Lu2MgOs (PBE, relaxed); symmetry = Fm-3m; ΔH_f (0 K) = -0.221 eV per atom; E_tot = -22.755 eV/cell
1.0
0.0000 3.4672 3.4672
3.4672 0.0000 3.4672
3.4672 3.4672 0.0000
Lu Mg Os
2 1 1
Direct
0.2500 0.2500 0.2500
0.7500 0.7500 0.7500
0.0000 0.0000 0.0000
0.5000 0.5000 0.5000


3.
Ba6Ca3Cu6Hg3O19 (PBE, relaxed); symmetry = C2/m; ΔH_f (0 K) = -1.985 eV per atom; E_tot = -197.424 eV/cell
1.0
8.2218 -2.7279 0.0000
8.2218 2.7279 0.0000
-5.4897 0.0000 12.8938
Ba Ca Cu Hg O
6 3 6 3 19
Direct
0.0692 0.0692 0.2076
0.2604 0.2604 0.7804
0.4066 0.4066 0.2193
0.5934 0.5934 0.7807
0.7396 0.7396 0.2196
0.9308 0.9308 0.7924
0.1661 0.1661 0.4983
0.5000 0.5000 0.5000
0.8339 0.8339 0.5017
0.0404 0.0404 0.6225
0.2920 0.2920 0.3775
0.3745 0.3745 0.6237
0.6255 0.6255 0.3763
0.7080 0.7080 0.6225
0.9596 0.9596 0.3775
0.1618 0.1618 0.0000
0.5000 0.5000 0.0000
0.8382 0.8382 0.0000
0.0000 0.0000 0.0000
0.0414 0.5376 0.6211
0.1176 0.1176 0.8416
0.1257 0.6260 0.3777
0.2094 0.7060 0.6210
0.2232 0.2232 0.1584
0.2940 0.7906 0.3790
0.3740 0.8743 0.6223
0.4468 0.4468 0.8403
0.4624 0.9586 0.3789
0.5376 0.0414 0.6211
0.5532 0.5532 0.1597
0.6260 0.1257 0.3777
0.7060 0.2094 0.6210
0.7768 0.7768 0.8416
0.7906 0.2940 0.3790
0.8743 0.3740 0.6223
0.8824 0.8824 0.1584
0.9586 0.4624 0.3789


4.
Na4Au (PBE, relaxed); symmetry = Fd-3m; ΔH_f (0 K) = 0.036 eV per atom; E_tot = -16.764 eV/cell
1.0
0.0000 5.7380 5.7380
5.7380 0.0000 5.7380
5.7380 5.7380 0.0000
Na Au
8 2
Direct
0.2029 0.7657 0.7657
0.2343 0.2343 0.2343
0.2343 0.2343 0.7971
0.2343 0.7971 0.2343
0.7657 0.2029 0.7657
0.7657 0.7657 0.2029
0.7657 0.7657 0.7657
0.7971 0.2343 0.2343
0.3750 0.3750 0.3750
0.6250 0.6250 0.6250


5.
HfNbRu2 (PBE, relaxed); symmetry = Fm-3m; ΔH_f (0 K) = -0.482 eV per atom; E_tot = -40.534 eV/cell
1.0
0.0000 3.2151 3.2151
3.2151 0.0000 3.2151
3.2151 3.2151 0.0000
Hf Nb Ru
1 1 2
Direct
0.0000 0.0000 0.0000
0.5000 0.5000 0.5000
0.2500 0.2500 0.2500
0.7500 0.7500 0.7500


6.
Zn12Pt7 (PBE, relaxed); symmetry = Pbam; ΔH_f (0 K) = -0.487 eV per atom; E_tot = -133.754 eV/cell
1.0
7.0288 0.0000 0.0000
0.0000 29.3357 0.0000
0.0000 0.0000 2.8012
Zn Pt
24 14
Direct
0.1243 0.0713 0.0000
0.1294 0.6432 0.0000
0.1373 0.2164 0.0000
0.1830 0.4921 0.0000
0.2315 0.8018 0.0000
0.2485 0.3997 0.0000
0.2515 0.8997 0.0000
0.2685 0.3018 0.0000
0.3170 0.9921 0.0000
0.3627 0.7164 0.0000
0.3706 0.1432 0.0000
0.3757 0.5713 0.0000
0.6243 0.4287 0.0000
0.6294 0.8568 0.0000
0.6373 0.2836 0.0000
0.6830 0.0079 0.0000
0.7315 0.6982 0.0000
0.7485 0.1003 0.0000
0.7515 0.6003 0.0000
0.7685 0.1982 0.0000
0.8170 0.5079 0.0000
0.8627 0.7836 0.0000
0.8706 0.3568 0.0000
0.8757 0.9287 0.0000
0.0000 0.0000 0.5000
0.0073 0.1443 0.5000
0.0368 0.5673 0.5000
0.0406 0.7186 0.5000
0.4594 0.2186 0.5000
0.4632 0.0673 0.5000
0.4927 0.6443 0.5000
0.5000 0.5000 0.5000
0.5073 0.3557 0.5000
0.5368 0.9327 0.5000
0.5406 0.7814 0.5000
0.9594 0.2814 0.5000
0.9632 0.4327 0.5000
0.9927 0.8557 0.5000


Question: The lowest ΔH_f (0 K) belongs to which entry?
Answer: Ba6Ca3Cu6Hg3O19


What did the sixth record say?
Zn12Pt7 (PBE, relaxed); symmetry = Pbam; ΔH_f (0 K) = -0.487 eV per atom; E_tot = -133.754 eV/cell
1.0
7.0288 0.0000 0.0000
0.0000 29.3357 0.0000
0.0000 0.0000 2.8012
Zn Pt
24 14
Direct
0.1243 0.0713 0.0000
0.1294 0.6432 0.0000
0.1373 0.2164 0.0000
0.1830 0.4921 0.0000
0.2315 0.8018 0.0000
0.2485 0.3997 0.0000
0.2515 0.8997 0.0000
0.2685 0.3018 0.0000
0.3170 0.9921 0.0000
0.3627 0.7164 0.0000
0.3706 0.1432 0.0000
0.3757 0.5713 0.0000
0.6243 0.4287 0.0000
0.6294 0.8568 0.0000
0.6373 0.2836 0.0000
0.6830 0.0079 0.0000
0.7315 0.6982 0.0000
0.7485 0.1003 0.0000
0.7515 0.6003 0.0000
0.7685 0.1982 0.0000
0.8170 0.5079 0.0000
0.8627 0.7836 0.0000
0.8706 0.3568 0.0000
0.8757 0.9287 0.0000
0.0000 0.0000 0.5000
0.0073 0.1443 0.5000
0.0368 0.5673 0.5000
0.0406 0.7186 0.5000
0.4594 0.2186 0.5000
0.4632 0.0673 0.5000
0.4927 0.6443 0.5000
0.5000 0.5000 0.5000
0.5073 0.3557 0.5000
0.5368 0.9327 0.5000
0.5406 0.7814 0.5000
0.9594 0.2814 0.5000
0.9632 0.4327 0.5000
0.9927 0.8557 0.5000